Entry 1:
VASP calculation (PBE-GGA) on a relaxed NiCl2 crystal.

E_tot: -11.36 eV/f.u.
Calculated density: 3.22 g/cm³
Formation enthalpy at 0 K: -1.04 eV per atom

Cell: 3.4649 3.4649 19.2768 Å, 90.00 90.00 120.00°
Space group R-3m (No. 166, hexagonal axes)
Unique sites:
Ni1 0.0000 0.0000 0.0000 [3 per cell]
Cl1 0.0000 0.0000 0.2672 [6 per cell]


Entry 2:
VASP calculation (PBE-GGA) on a relaxed NiCl crystal.

E_tot: -7.74 eV/f.u.
Calculated density: 4.42 g/cm³
Total magnetization: 1.0 μB/f.u.
Formation enthalpy at 0 K: -0.36 eV per atom

Cell: 3.6189 3.6189 6.2406 Å, 90.00 90.00 120.00°
Space group P6_3mc (No. 186)
Unique sites:
Ni1 0.3333 0.6667 0.0000 [2 per cell]
Cl1 0.3333 0.6667 0.6428 [2 per cell]


Entry 3:
VASP calculation (PBE-GGA) on a relaxed Ni6Cl7 crystal.

E_tot: -49.32 eV/f.u.
Calculated density: 4.64 g/cm³
Total magnetization: 7.0 μB/f.u.
Formation enthalpy at 0 K: -0.46 eV per atom

Cell: 6.061 6.991 10.633 Å, 89.60 84.10 73.57°
Space group P-1 (No. 2)
Unique sites:
Ni1 0.000 0.000 0.000 [1 per cell]
Ni2 0.000 0.500 0.000 [1 per cell]
Ni3 0.144 0.213 0.716 [2 per cell]
Ni4 0.287 0.427 0.427 [2 per cell]
Ni5 0.287 0.929 0.434 [2 per cell]
Ni6 0.424 0.152 0.151 [2 per cell]
Ni7 0.425 0.639 0.145 [2 per cell]
Cl1 0.009 0.240 0.515 [2 per cell]
Cl2 0.144 0.468 0.213 [2 per cell]
Cl3 0.150 0.962 0.195 [2 per cell]
Cl4 0.285 0.189 0.921 [2 per cell]
Cl5 0.298 0.675 0.929 [2 per cell]
Cl6 0.447 0.381 0.636 [2 per cell]
Cl7 0.450 0.894 0.645 [2 per cell]


Entry 4:
VASP calculation (PBE-GGA) on a relaxed TlNiCl3 crystal.

E_tot: -17.59 eV/f.u.
Calculated density: 4.92 g/cm³
Formation enthalpy at 0 K: -1.15 eV per atom

Cell: 6.9836 6.9836 5.9034 Å, 90.00 90.00 120.00°
Space group P6_3/mmc (No. 194)
Unique sites:
Tl1 0.3333 0.6667 0.2500 [2 per cell]
Ni1 0.0000 0.0000 0.0000 [2 per cell]
Cl1 0.1565 0.3130 0.7500 [6 per cell]


Entry 5:
VASP calculation (PBE-GGA) on a relaxed Zr6NiCl15 crystal.

E_tot: -120.88 eV/f.u.
Calculated density: 3.42 g/cm³
Formation enthalpy at 0 K: -2.06 eV per atom

Cell: 10.341 10.341 10.341 Å, 90.00 90.00 90.00°
Space group Im-3m (No. 229)
Unique sites:
Zr1 0.000 0.000 0.243 [12 per cell]
Ni1 0.000 0.000 0.000 [2 per cell]
Cl1 0.000 0.000 0.500 [6 per cell]
Cl2 0.000 0.248 0.248 [24 per cell]


Entry 6:
VASP calculation (PBE-GGA) on a relaxed NpCl4 crystal.

E_tot: -28.36 eV/f.u.
Calculated density: 4.68 g/cm³
Total magnetization: 3.0 μB/f.u.
Formation enthalpy at 0 K: -2.09 eV per atom

Cell: 8.317 8.317 7.767 Å, 90.00 90.00 90.00°
Space group I4_1/amd (No. 141, origin choice 2)
Unique sites:
Np1 0.000 0.250 0.375 [4 per cell]
Cl1 0.000 0.061 0.690 [16 per cell]


Entry 7:
VASP calculation (PBE-GGA) on a relaxed NpCl4 crystal.

E_tot: -28.40 eV/f.u.
Calculated density: 4.62 g/cm³
Formation enthalpy at 0 K: -2.10 eV per atom

Cell: 7.059 7.059 7.095 Å, 107.90 112.67 107.67°
Space group P-1 (No. 2)
Unique sites:
Np1 0.128 0.253 0.380 [2 per cell]
Cl1 0.186 0.564 0.752 [2 per cell]
Cl2 0.186 0.940 0.127 [2 per cell]
Cl3 0.249 0.070 0.695 [2 per cell]
Cl4 0.375 0.554 0.305 [2 per cell]


Entry 8:
VASP calculation (PBE-GGA) on a relaxed PCl3O crystal.

E_tot: -21.32 eV/f.u.
Calculated density: 1.65 g/cm³
Formation enthalpy at 0 K: -1.22 eV per atom

Cell: 10.119 6.128 9.972 Å, 90.00 90.00 90.00°
Space group Pna2_1 (No. 33)
Unique sites:
P1 0.178 0.102 0.000 [4 per cell]
Cl1 0.022 0.901 0.001 [4 per cell]
Cl2 0.148 0.296 0.840 [4 per cell]
Cl3 0.148 0.298 0.159 [4 per cell]
O1 0.193 0.491 0.500 [4 per cell]


Entry 9:
VASP calculation (PBE-GGA) on a relaxed PCl3O crystal.

Piezoelectric modulus e_max: 0.26 C/m²
E_tot: -21.30 eV/f.u.
Calculated density: 1.73 g/cm³
Total magnetization: 0.0 μB/f.u.
Formation enthalpy at 0 K: -1.22 eV per atom

Cell: 9.903 6.071 9.813 Å, 90.00 90.00 90.00°
Space group Pna2_1 (No. 33)
Unique sites:
P1 0.181 0.127 0.000 [4 per cell]
Cl1 0.024 0.918 0.996 [4 per cell]
Cl2 0.144 0.324 0.160 [4 per cell]
Cl3 0.153 0.321 0.837 [4 per cell]
O1 0.186 0.518 0.504 [4 per cell]


Entry 10:
VASP calculation (PBE-GGA) on a relaxed PCl3O crystal.

Piezoelectric modulus e_max: 0.22 C/m²
E_tot: -21.27 eV/f.u.
Calculated density: 1.48 g/cm³
Total magnetization: 0.0 μB/f.u.
Formation enthalpy at 0 K: -1.21 eV per atom

Cell: 12.104 9.505 5.969 Å, 90.00 90.00 90.00°
Space group Pna2_1 (No. 33)
Unique sites:
P1 0.179 0.241 0.000 [4 per cell]
Cl1 0.057 0.250 0.228 [4 per cell]
Cl2 0.137 0.077 0.805 [4 per cell]
Cl3 0.154 0.411 0.806 [4 per cell]
O1 0.209 0.731 0.595 [4 per cell]


Entry 11:
VASP calculation (PBE-GGA) on a relaxed Pr4PClO8 crystal.

E_tot: -109.60 eV/f.u.
Calculated density: 5.48 g/cm³
Total magnetization: 0.0 μB/f.u.
Formation enthalpy at 0 K: -3.51 eV per atom

Cell: 13.175 5.927 5.887 Å, 90.00 90.00 90.00°
Space group Pmn2_1 (No. 31)
Unique sites:
Pr1 0.162 0.017 0.000 [4 per cell]
Pr2 0.168 0.486 0.471 [4 per cell]
P1 0.000 0.540 0.943 [2 per cell]
Cl1 0.000 0.056 0.430 [2 per cell]
O1 0.000 0.500 0.681 [2 per cell]
O2 0.000 0.801 0.983 [2 per cell]
O3 0.095 0.433 0.053 [4 per cell]
O4 0.231 0.758 0.738 [4 per cell]
O5 0.250 0.243 0.732 [4 per cell]


Entry 12:
VASP calculation (PBE-GGA) on a relaxed SbPCl8O crystal.

E_tot: -38.82 eV/f.u.
Calculated density: 2.17 g/cm³
Total magnetization: 0.0 μB/f.u.
Formation enthalpy at 0 K: -0.93 eV per atom

Cell: 17.355 8.554 9.349 Å, 90.00 90.00 90.00°
Space group Pnma (No. 62)
Unique sites:
Sb1 0.146 0.250 0.078 [4 per cell]
P1 0.076 0.250 0.717 [4 per cell]
Cl1 0.025 0.250 0.199 [4 per cell]
Cl2 0.030 0.750 0.363 [4 per cell]
Cl3 0.129 0.065 0.636 [8 per cell]
Cl4 0.139 0.526 0.057 [8 per cell]
Cl5 0.222 0.250 0.288 [4 per cell]
Cl6 0.244 0.750 0.423 [4 per cell]
O1 0.072 0.250 0.877 [4 per cell]


Entry 13:
VASP calculation (PBE-GGA) on a relaxed SnPClO2 crystal.

E_tot: -27.73 eV/f.u.
Calculated density: 3.10 g/cm³
Total magnetization: 0.0 μB/f.u.
Formation enthalpy at 0 K: -1.59 eV per atom

Cell: 8.023 5.636 10.302 Å, 90.00 90.00 90.00°
Space group Pnma (No. 62)
Unique sites:
Sn1 0.109 0.250 0.152 [4 per cell]
P1 0.046 0.750 0.362 [4 per cell]
Cl1 0.167 0.750 0.975 [4 per cell]
O1 0.004 0.525 0.285 [8 per cell]


Entry 14:
VASP calculation (PBE-GGA) on a relaxed SnP2Cl8O3 crystal.

Relative energy among the computed polymorphs: 0.0236 eV per atom
E_tot: -60.71 eV/f.u.
Calculated density: 2.22 g/cm³
Total magnetization: 0.0 μB/f.u.
Formation enthalpy at 0 K: -1.31 eV per atom

Cell: 8.980 9.243 11.042 Å, 69.91 71.26 65.39°
Space group P1 (No. 1)
Unique sites:
Sn1 0.000 0.000 0.000 [1 per cell]
Sn2 0.179 0.407 0.539 [1 per cell]
P1 0.302 0.994 0.698 [1 per cell]
P2 0.319 0.009 0.130 [1 per cell]
P3 0.866 0.399 0.402 [1 per cell]
P4 0.885 0.403 0.835 [1 per cell]
Cl1 0.052 0.688 0.477 [1 per cell]
Cl2 0.133 0.701 0.059 [1 per cell]
Cl3 0.283 0.799 0.670 [1 per cell]
Cl4 0.301 0.989 0.316 [1 per cell]
Cl5 0.330 0.385 0.691 [1 per cell]
Cl6 0.372 0.202 0.025 [1 per cell]
Cl7 0.411 0.364 0.352 [1 per cell]
Cl8 0.506 0.818 0.081 [1 per cell]
Cl9 0.548 0.934 0.682 [1 per cell]
Cl10 0.632 0.466 0.860 [1 per cell]
Cl11 0.678 0.593 0.451 [1 per cell]
Cl12 0.779 0.035 0.179 [1 per cell]
Cl13 0.806 0.196 0.514 [1 per cell]
Cl14 0.858 0.009 0.845 [1 per cell]
Cl15 0.878 0.413 0.215 [1 per cell]
Cl16 0.905 0.601 0.857 [1 per cell]
O1 0.039 0.378 0.421 [1 per cell]
O2 0.151 0.024 0.113 [1 per cell]
O3 0.219 0.008 0.845 [1 per cell]
O4 0.242 0.142 0.591 [1 per cell]
O5 0.951 0.252 0.941 [1 per cell]
O6 0.966 0.390 0.689 [1 per cell]


Entry 15:
VASP calculation (PBE-GGA) on a relaxed SnP2Cl8O3 crystal.

Relative energy among the computed polymorphs: 0.0000 eV per atom
E_tot: -61.04 eV/f.u.
Calculated density: 2.22 g/cm³
Total magnetization: 0.0 μB/f.u.
Formation enthalpy at 0 K: -1.33 eV per atom

Cell: 8.980 9.243 11.042 Å, 69.91 71.26 65.39°
Space group P-1 (No. 2)
Unique sites:
Sn1 0.090 0.205 0.268 [2 per cell]
P1 0.208 0.795 0.436 [2 per cell]
P2 0.222 0.807 0.864 [2 per cell]
Cl1 0.041 0.506 0.793 [2 per cell]
Cl2 0.186 0.604 0.405 [2 per cell]
Cl3 0.212 0.793 0.049 [2 per cell]
Cl4 0.240 0.187 0.420 [2 per cell]
Cl5 0.286 0.001 0.757 [2 per cell]
Cl6 0.314 0.169 0.083 [2 per cell]
Cl7 0.413 0.613 0.817 [2 per cell]
Cl8 0.456 0.735 0.411 [2 per cell]
O1 0.059 0.818 0.848 [2 per cell]
O2 0.132 0.806 0.578 [2 per cell]
O3 0.143 0.942 0.327 [2 per cell]